A plane-wave DFT calculation with r2SCAN was carried out for an optimized crystal structure of Ge.

Offset from the most stable computed form (meV/atom): 6.9
Space group: P6_3/mmc

Cell lengths 4.003, 4.003, 13.157 Å; angles 90.00, 90.00, 120.00 degrees
Fractional coordinates of all 8 atoms:
Ge1 0.667 0.333 0.656
Ge2 0.000 0.000 0.593
Ge3 0.667 0.333 0.844
Ge4 0.000 0.000 0.407
Ge5 0.000 0.000 0.907
Ge6 0.333 0.667 0.156
Ge7 0.333 0.667 0.344
Ge8 0.000 0.000 0.093